No. 1
An optimized crystal structure of Na2Ta2P6O21, computed with GGA-PBE.

Cell and atoms, written as POSCAR:
```
Na2Ta2P6O21
1.0
-8.013 -4.145 -1.750
7.648 -5.003 0.958
-2.227 -0.998 12.565
Ta O P Na
4 42 12 4
Direct
0.333 0.667 0.024
0.667 0.333 0.524
0.667 0.333 0.976
0.333 0.667 0.476
0.838 0.323 0.889
0.169 0.956 0.627
0.788 0.831 0.873
0.831 0.044 0.127
0.617 0.060 0.250
0.443 0.383 0.250
0.940 0.557 0.250
0.512 0.369 0.066
0.838 0.323 0.611
0.788 0.831 0.627
0.383 0.940 0.750
0.212 0.169 0.373
0.857 0.488 0.066
0.162 0.677 0.389
0.488 0.631 0.566
0.369 0.857 0.566
0.631 0.143 0.434
0.323 0.484 0.111
0.044 0.212 0.627
0.956 0.788 0.127
0.956 0.788 0.373
0.212 0.169 0.127
0.516 0.838 0.111
0.162 0.677 0.111
0.677 0.516 0.889
0.557 0.617 0.750
0.516 0.838 0.389
0.060 0.443 0.750
0.631 0.143 0.066
0.512 0.369 0.434
0.488 0.631 0.934
0.169 0.956 0.873
0.831 0.044 0.373
0.143 0.512 0.566
0.044 0.212 0.873
0.484 0.162 0.889
0.143 0.512 0.934
0.369 0.857 0.934
0.323 0.484 0.389
0.484 0.162 0.611
0.677 0.516 0.611
0.857 0.488 0.434
0.661 0.021 0.365
0.361 0.339 0.135
0.639 0.661 0.865
0.979 0.639 0.365
0.339 0.979 0.865
0.661 0.021 0.135
0.979 0.639 0.135
0.361 0.339 0.365
0.021 0.361 0.865
0.639 0.661 0.635
0.021 0.361 0.635
0.339 0.979 0.635
0.000 0.000 0.750
0.000 0.000 0.500
0.000 0.000 0.250
0.000 0.000 0.000
```

## Properties
energy relative to the elements	-2.854	eV per atom
theoretical density	3.30	g cm⁻³
calculated total energy	-7.638	eV/atom

***

No. 2
An optimized crystal structure of LaNb2CuBrO7, computed with GGA-PBE.

Cell and atoms, written as POSCAR:
```
LaNb2CuBrO7
1.0
0.214 -0.822 -5.517
5.576 -0.159 0.222
-0.389 -11.667 1.712
O La Cu Nb Br
14 2 2 4 2
Direct
0.999 0.001 0.638
0.711 0.289 0.500
0.999 0.001 0.362
0.223 0.775 0.157
0.000 0.500 0.348
0.499 0.501 0.327
0.500 0.000 0.347
0.500 0.000 0.652
0.499 0.501 0.673
0.766 0.238 0.157
0.286 0.714 0.500
0.762 0.234 0.843
0.000 0.500 0.653
0.225 0.777 0.843
0.736 0.738 0.500
0.262 0.264 0.500
0.229 0.771 0.000
0.774 0.226 0.000
0.246 0.754 0.309
0.749 0.250 0.690
0.750 0.251 0.310
0.246 0.754 0.691
0.716 0.764 0.005
0.236 0.284 0.995
```

## Properties
offset from the most stable computed form	0.008	eV per atom
energy relative to the elements	-2.734	eV per atom
theoretical density	5.24	g cm⁻³
calculated total energy	-7.792	eV/atom

***

No. 3
An optimized crystal structure of Cs2PtS6O18F6, computed with GGA-PBE.

Cell and atoms, written as POSCAR:
```
Cs2PtS6O18F6
1.0
4.683 -8.112 0.000
4.683 8.112 0.000
0.000 0.000 7.917
O F S Pt Cs
18 6 6 1 2
Direct
0.992 0.331 0.737
0.861 0.047 0.167
0.814 0.953 0.833
0.576 0.859 0.660
0.661 0.669 0.263
0.424 0.283 0.340
0.283 0.424 0.660
0.953 0.814 0.167
0.186 0.139 0.167
0.141 0.717 0.660
0.331 0.992 0.263
0.139 0.186 0.833
0.008 0.339 0.263
0.339 0.008 0.737
0.859 0.576 0.340
0.047 0.861 0.833
0.717 0.141 0.340
0.669 0.661 0.737
0.243 0.790 0.945
0.210 0.453 0.945
0.790 0.243 0.055
0.453 0.210 0.055
0.547 0.757 0.945
0.757 0.547 0.055
0.655 0.802 0.775
0.853 0.198 0.225
0.198 0.853 0.775
0.147 0.345 0.775
0.802 0.655 0.225
0.345 0.147 0.225
0.000 0.000 0.000
0.667 0.333 0.663
0.333 0.667 0.337
```

## Properties
energy relative to the elements	-1.920	eV per atom
theoretical density	2.91	g cm⁻³
calculated total energy	-5.499	eV/atom

***

No. 4
An optimized crystal structure of LiAgF4, computed with GGA-PBE.

Cell and atoms, written as POSCAR:
```
LiAgF4
1.0
-6.606 -1.129 -5.136
-1.649 -4.779 3.172
-4.901 0.698 6.150
Ag Li F
4 4 16
Direct
0.664 0.972 0.388
0.836 0.972 0.888
0.164 0.028 0.112
0.336 0.028 0.612
0.497 0.639 0.152
0.997 0.361 0.348
0.503 0.361 0.848
0.003 0.639 0.652
0.989 0.266 0.759
0.203 0.336 0.463
0.198 0.835 0.527
0.797 0.664 0.537
0.011 0.734 0.241
0.016 0.226 0.176
0.703 0.664 0.037
0.302 0.835 0.027
0.984 0.774 0.824
0.516 0.774 0.324
0.802 0.165 0.473
0.489 0.734 0.741
0.484 0.226 0.676
0.297 0.336 0.963
0.698 0.165 0.973
0.511 0.266 0.259
```

## Properties
offset from the most stable computed form	0.037	eV per atom
energy relative to the elements	-1.948	eV per atom
theoretical density	3.72	g cm⁻³
calculated total energy	-3.707	eV/atom

***

No. 5
An optimized crystal structure of Na2Ca3Al2F14, computed with GGA-PBE.

Cell and atoms, written as POSCAR:
```
Na2Ca3Al2F14
1.0
8.865 -1.351 0.525
-2.130 7.599 4.291
-4.311 -6.899 3.810
F Na Ca Al
28 4 6 4
Direct
0.055 0.242 0.073
0.772 0.949 0.950
0.822 0.550 0.499
0.678 0.176 0.728
0.518 0.186 0.445
0.176 0.728 0.678
0.186 0.445 0.518
0.551 0.324 0.001
0.668 0.982 0.427
0.258 0.314 0.832
0.073 0.055 0.242
0.000 0.922 0.500
0.949 0.950 0.772
0.500 0.000 0.922
0.922 0.500 0.000
0.324 0.001 0.551
0.445 0.518 0.186
0.001 0.551 0.324
0.832 0.258 0.314
0.242 0.073 0.055
0.728 0.678 0.176
0.314 0.832 0.258
0.550 0.499 0.822
0.499 0.822 0.550
0.427 0.668 0.982
0.578 0.578 0.578
0.982 0.427 0.668
0.950 0.772 0.949
0.500 0.000 0.170
0.330 0.330 0.330
0.000 0.170 0.500
0.170 0.500 0.000
0.750 0.467 0.717
0.717 0.750 0.467
0.467 0.717 0.750
0.783 0.250 0.033
0.250 0.033 0.783
0.033 0.783 0.250
0.004 0.004 0.004
0.000 0.496 0.500
0.500 0.000 0.496
0.496 0.500 0.000
```

## Properties
energy relative to the elements	-3.879	eV per atom
theoretical density	2.89	g cm⁻³
calculated total energy	-5.617	eV/atom

***

No. 6
An optimized crystal structure of TiAsRu, computed with GGA-PBE.

Cell and atoms, written as POSCAR:
```
TiAsRu
1.0
-3.279 3.679 5.650
3.279 -3.679 5.650
3.279 3.679 -5.650
Ru As Ti
6 6 6
Direct
0.664 0.496 0.910
0.500 0.998 0.498
0.915 0.247 0.410
0.085 0.496 0.332
0.000 0.998 0.998
0.336 0.247 0.832
0.164 0.913 0.744
0.283 0.284 0.501
0.717 0.218 0.001
0.836 0.579 0.748
0.669 0.913 0.248
0.331 0.579 0.244
0.055 0.846 0.291
0.945 0.236 0.791
0.467 0.247 0.281
0.749 0.665 0.415
0.533 0.814 0.781
0.251 0.666 0.915
```

## Properties
energy relative to the elements	-0.717	eV per atom
theoretical density	8.18	g cm⁻³
calculated total energy	-7.993	eV/atom

***

No. 7
An optimized crystal structure of CdAu, computed with GGA-PBE.

Cell and atoms, written as POSCAR:
```
CdAu
1.0
-2.902 1.222 -1.288
0.707 -1.468 -2.987
-1.628 -2.816 0.998
Au Cd
1 1
Direct
0.500 0.500 0.500
0.000 0.000 0.000
```

## Properties
energy relative to the elements	-0.171	eV per atom
theoretical density	13.04	g cm⁻³
calculated total energy	-2.270	eV/atom

***

No. 8
An optimized crystal structure of Cu3B4Pb2O11, computed with GGA-PBE.

Cell and atoms, written as POSCAR:
```
Cu3B4Pb2O11
1.0
-2.814 -0.454 3.842
-1.066 -6.610 -1.562
10.951 -8.779 6.983
O B Pb Cu
22 8 4 6
Direct
0.067 0.221 0.590
0.948 0.146 0.341
0.067 0.779 0.910
0.699 0.401 0.849
0.110 0.500 0.750
0.699 0.599 0.651
0.175 0.589 0.592
0.290 0.027 0.048
0.890 0.500 0.250
0.301 0.599 0.151
0.710 0.973 0.952
0.710 0.027 0.548
0.052 0.146 0.841
0.933 0.779 0.410
0.052 0.854 0.659
0.825 0.589 0.092
0.933 0.221 0.090
0.948 0.854 0.159
0.290 0.973 0.452
0.175 0.411 0.908
0.301 0.401 0.349
0.825 0.411 0.408
0.011 0.361 0.339
0.945 0.036 0.597
0.011 0.639 0.161
0.989 0.361 0.839
0.055 0.964 0.403
0.945 0.964 0.903
0.989 0.639 0.661
0.055 0.036 0.097
0.421 0.292 0.692
0.421 0.708 0.808
0.579 0.708 0.308
0.579 0.292 0.192
0.521 0.211 0.442
0.479 0.789 0.558
0.000 0.500 0.500
0.479 0.211 0.942
0.000 0.500 0.000
0.521 0.789 0.058
```

## Properties
energy relative to the elements	-2.006	eV per atom
theoretical density	5.62	g cm⁻³
calculated total energy	-6.672	eV/atom

***

No. 9
An optimized crystal structure of In5Bi3S12, computed with GGA-PBE.

Cell and atoms, written as POSCAR:
```
In5Bi3S12
1.0
10.601 -13.017 1.697
12.621 -11.145 -1.095
7.453 7.214 10.227
Bi S In
6 24 10
Direct
0.678 0.681 0.265
0.318 0.323 0.735
0.457 0.439 0.208
0.855 0.876 0.984
0.542 0.562 0.790
0.134 0.136 0.018
0.470 0.459 0.604
0.766 0.790 0.240
0.540 0.530 0.397
0.394 0.396 0.810
0.310 0.326 0.039
0.760 0.785 0.591
0.873 0.898 0.180
0.235 0.210 0.762
0.129 0.127 0.397
0.566 0.541 0.974
0.202 0.188 0.145
0.993 0.992 0.818
0.435 0.458 0.027
0.929 0.946 0.404
0.336 0.343 0.398
0.802 0.806 0.850
0.999 0.012 0.179
0.674 0.690 0.960
0.066 0.056 0.596
0.127 0.102 0.820
0.598 0.612 0.190
0.868 0.879 0.607
0.657 0.669 0.600
0.220 0.237 0.411
0.786 0.778 0.417
0.669 0.676 0.782
0.934 0.925 0.721
0.314 0.339 0.219
0.404 0.400 0.493
0.597 0.599 0.500
0.998 0.003 0.503
0.996 0.003 0.003
0.206 0.226 0.583
0.059 0.084 0.278
```

## Properties
offset from the most stable computed form	0.000	eV per atom
energy relative to the elements	-0.746	eV per atom
theoretical density	5.50	g cm⁻³
calculated total energy	-4.197	eV/atom

***

No. 10
An optimized crystal structure of SmYCu4, computed with GGA-PBE.

Cell and atoms, written as POSCAR:
```
SmYCu4
1.0
-2.684 -3.097 3.695
0.519 4.426 3.254
-2.831 -1.010 -4.628
Cu Sm Y
4 1 1
Direct
0.864 0.164 0.700
0.464 0.164 0.300
0.035 0.837 0.198
0.640 0.837 0.802
0.458 0.458 0.000
0.039 0.539 0.500
```

## Properties
energy relative to the elements	-0.245	eV per atom
theoretical density	7.34	g cm⁻³
calculated total energy	-4.842	eV/atom

***

No. 11
An optimized crystal structure of K2CuH4, computed with GGA-PBE.

Cell and atoms, written as POSCAR:
```
K2CuH4
1.0
-1.941 1.941 6.587
1.941 -1.941 6.587
1.941 1.941 -6.587
K Cu H
2 1 4
Direct
0.362 0.362 0.000
0.638 0.638 0.000
0.000 0.000 0.000
0.874 0.874 0.000
0.126 0.126 0.000
0.500 0.000 0.500
0.000 0.500 0.500
```

## Properties
energy relative to the elements	-0.101	eV per atom
theoretical density	2.44	g cm⁻³
calculated total energy	-2.840	eV/atom

***

No. 12
An optimized crystal structure of LiAgF2, computed with GGA-PBE.

Cell and atoms, written as POSCAR:
```
LiAgF2
1.0
1.524 2.639 0.000
-1.524 2.639 0.000
0.000 1.699 6.319
F Ag Li
2 1 1
Direct
0.109 0.125 0.671
0.875 0.891 0.329
0.004 0.996 0.000
0.485 0.515 0.500
```

## Properties
maximum piezoelectric response	0.2	C/m2
offset from the most stable computed form	0.001	eV per atom
energy relative to the elements	-2.174	eV per atom
theoretical density	4.99	g cm⁻³
calculated total energy	-4.086	eV/atom